(1)
Li3Fe2As3O12: optimized geometry, PBE with a Hubbard U.

Structure (POSCAR):
```
Li3Fe2As3O12
1.0
8.765 0.000 0.000
0.000 9.094 0.000
-8.598 0.000 12.455
Li Fe As O
12 8 12 48
Cartesian
7.203 2.007 2.257
2.904 2.540 8.485
-2.737 6.553 3.970
-7.035 7.087 10.197
-4.797 0.079 10.500
-0.499 4.468 4.273
0.693 0.793 3.779
-3.606 3.754 10.006
3.773 5.339 2.449
-0.525 8.301 8.676
0.666 4.626 8.181
4.965 9.015 1.954
-2.161 0.298 4.838
-6.460 4.249 11.066
2.166 0.213 1.302
-2.132 4.334 7.529
2.300 4.760 4.926
-1.999 8.881 11.153
6.628 4.845 1.389
2.329 8.796 7.616
-5.266 5.593 8.012
-0.967 8.047 1.785
-3.261 1.098 8.087
1.038 3.449 1.859
-4.555 6.804 12.343
-0.256 6.837 6.116
0.423 2.257 6.339
4.722 2.290 0.111
-0.870 5.645 10.595
3.428 7.995 4.368
1.135 1.046 10.670
5.433 3.501 4.442
-1.497 6.530 2.390
-5.796 7.111 8.617
-1.077 0.125 3.064
-5.376 4.422 9.291
-4.883 0.723 8.611
-0.584 3.824 2.384
-3.094 0.793 6.430
1.204 3.754 0.203
-3.697 5.577 7.361
0.602 8.063 1.134
-6.399 0.470 11.753
-2.100 4.077 5.525
-5.956 6.144 11.596
-1.657 7.496 5.369
1.058 1.730 2.058
-3.241 2.817 8.286
-0.388 1.060 5.419
-4.687 3.487 11.646
0.620 6.035 4.875
-3.678 7.606 11.102
-2.156 0.207 9.046
2.143 4.340 2.819
-0.753 5.771 7.384
3.546 7.870 1.156
-3.379 1.224 11.298
0.920 3.323 5.071
-1.976 4.754 9.635
2.323 8.886 3.408
3.846 1.488 1.352
-0.453 3.059 7.580
4.854 5.607 0.808
0.556 8.034 7.036
3.408 6.277 4.169
-0.891 7.364 10.396
1.824 1.598 7.085
6.123 2.949 0.858
2.267 5.016 6.929
6.566 8.624 0.702
-0.434 1.031 11.321
3.865 3.516 5.093
-1.037 5.340 12.251
3.262 8.301 6.024
0.752 5.270 10.071
5.051 8.370 3.844
5.543 4.672 3.164
1.245 8.968 9.391
5.963 1.983 3.837
1.665 2.564 10.065
```

***

(2)
LiFeAsO4: optimized geometry, PBE with a Hubbard U.

Structure (POSCAR):
```
LiFeAsO4
1.0
10.733 0.000 0.000
0.000 6.168 0.000
0.000 0.000 4.953
Li Fe As O
4 4 4 16
Cartesian
0.000 0.000 0.000
0.000 3.084 0.000
5.367 0.000 2.477
5.367 3.084 2.477
2.393 1.542 2.421
2.973 4.626 4.898
7.760 1.542 0.056
8.340 4.626 2.532
1.004 4.626 2.159
4.363 1.542 4.635
6.371 4.626 0.318
9.729 1.542 2.795
0.563 1.542 3.517
1.008 4.626 3.868
1.818 3.285 1.403
1.818 5.967 1.403
3.549 0.201 3.879
3.549 2.883 3.879
4.359 1.542 1.392
4.804 4.626 1.040
5.929 1.542 3.913
6.374 4.626 3.561
7.185 3.285 1.074
7.185 5.967 1.074
8.916 0.201 3.550
8.916 2.883 3.550
9.726 1.542 1.085
10.171 4.626 1.436
```

***

(3)
LiFeAs2O7 (PBE with a Hubbard U, optimized geometry); piezoelectric modulus e_max = 4.7 C/m²
1.0
3.393 -4.208 0.000
3.393 4.208 0.000
-1.165 0.000 4.687
Li Fe As O
1 1 2 7
Cartesian
0.000 0.000 0.000
3.393 1.018 0.000
1.224 -1.807 2.772
4.396 -1.807 1.915
1.828 2.566 3.409
1.496 1.180 0.827
3.793 2.566 1.278
1.370 -0.284 3.490
4.125 1.180 3.860
4.250 -0.284 1.196
2.810 -2.503 2.343

***

(4)
MgFeAs2O7 (PBE with a Hubbard U, optimized geometry); E above lowest polymorph = 104 meV per atom
1.0
5.361 0.000 0.000
0.288 5.667 0.000
1.839 1.147 5.403
Mg Fe As O
1 1 2 7
Cartesian
0.000 0.000 0.000
5.830 5.632 3.139
3.281 3.795 4.192
2.839 0.838 0.815
2.168 5.086 4.422
1.744 5.709 1.455
2.472 2.337 3.960
2.286 2.485 0.407
4.501 4.151 3.085
5.197 1.138 4.820
4.325 0.977 1.624

***

(5)
MgFeAs2O7 (PBE with a Hubbard U, optimized geometry); E above lowest polymorph = 0 meV per atom
1.0
7.381 0.000 0.000
0.000 8.694 0.000
-3.951 0.000 8.888
Mg Fe As O
4 4 8 28
Cartesian
1.248 0.662 0.951
-0.728 3.685 5.395
4.158 5.009 3.493
2.183 8.032 7.937
-0.372 0.489 6.073
1.603 3.858 1.629
1.827 4.836 7.259
3.802 8.205 2.815
-2.479 6.322 6.649
-0.503 6.719 2.205
3.385 6.292 0.353
1.409 6.749 4.797
2.021 1.945 4.091
0.046 2.402 8.535
3.933 1.975 6.683
5.909 2.372 2.239
-2.178 5.185 5.407
-0.202 7.856 0.963
-1.803 2.090 6.262
0.173 2.257 1.818
0.196 5.215 1.977
-1.779 7.827 6.421
-1.777 5.599 8.132
0.199 7.442 3.688
0.501 2.013 4.885
2.477 2.334 0.441
0.905 5.225 5.373
2.881 7.816 0.929
2.132 0.732 2.893
0.156 3.615 7.337
3.274 5.079 1.551
1.299 7.963 5.995
0.549 0.878 7.959
2.525 3.469 3.515
0.953 6.360 8.447
2.929 6.681 4.003
3.231 1.252 5.200
5.207 3.095 0.756
5.209 0.867 2.467
3.234 3.480 6.911
3.257 6.437 7.070
5.233 6.604 2.626
3.632 0.838 7.925
5.608 3.509 3.481

***

(6)
Mg3Fe3As4O16: optimized geometry, PBE with a Hubbard U.

Structure (POSCAR):
```
Mg3Fe3As4O16
1.0
8.660 0.000 0.000
0.000 5.236 0.000
-5.963 0.000 15.142
Mg Fe As O
6 6 8 32
Cartesian
0.000 0.000 0.000
-2.982 2.618 7.571
1.015 0.312 4.379
-1.966 2.306 11.951
4.663 2.929 3.192
1.682 4.924 10.763
-0.522 2.672 5.677
-3.504 5.182 13.248
1.348 0.000 7.571
4.330 2.618 0.000
6.200 0.054 1.894
3.219 2.564 9.465
-3.583 0.082 9.824
-0.601 2.536 2.253
-0.006 2.624 9.160
2.976 5.229 1.589
-0.279 0.006 13.554
2.703 2.612 5.983
3.298 2.700 12.889
6.279 5.154 5.318
-3.643 3.624 9.479
-0.662 4.229 1.908
-2.754 0.980 8.684
0.228 1.638 1.112
-3.664 3.170 12.779
-0.682 4.683 5.208
-2.861 0.497 11.352
0.120 2.120 3.780
-0.919 2.919 7.745
2.062 4.935 0.174
-0.766 3.034 10.597
2.215 4.819 3.026
-1.671 1.102 13.679
1.310 1.516 6.108
-1.049 3.686 13.531
1.932 4.167 5.960
0.765 1.068 9.183
3.746 1.550 1.612
1.387 3.720 9.034
4.368 4.134 1.463
0.482 0.417 12.117
3.463 2.201 4.545
0.635 0.301 14.968
3.616 2.317 7.397
2.577 3.115 11.362
5.558 4.738 3.791
3.379 0.552 9.934
6.361 2.066 2.363
2.469 3.598 14.030
5.450 4.255 6.459
3.359 1.006 13.234
6.340 1.612 5.663
```

***

(7)
MgFeAs2O7 (PBE with a Hubbard U, optimized geometry); E above lowest polymorph = 147 meV per atom
1.0
3.727 -4.262 0.000
3.727 4.262 0.000
-1.513 0.000 5.175
Mg Fe As O
1 1 2 7
Cartesian
0.000 0.000 0.000
2.971 3.964 2.588
2.237 -1.433 0.500
3.705 -1.433 4.675
2.470 2.782 0.911
1.336 -0.435 1.553
3.472 2.782 4.264
3.727 -0.560 0.000
2.720 -2.946 1.124
4.606 -0.435 3.623
3.222 -2.946 4.051

***

(8)
MgFeAs2O7 (PBE with a Hubbard U, optimized geometry); E above lowest polymorph = 17 meV per atom
1.0
3.320 -4.396 0.000
3.320 4.396 0.000
-1.027 0.000 4.733
Mg Fe As O
1 1 2 7
Cartesian
0.000 0.000 0.000
3.320 -1.075 0.000
1.137 1.689 2.839
4.476 1.689 1.894
0.959 0.249 3.729
2.807 1.953 2.366
1.382 -1.280 0.966
4.655 0.249 1.004
1.914 -2.771 3.432
4.231 -1.280 3.766
3.699 -2.771 1.301

***

no.,total energy (eV per atom)
1,-6.084
2,-6.186
3,-6.124
4,-6.155
5,-6.259
6,-6.282
7,-6.112
8,-6.242